No. 1
A plane-wave DFT calculation with GGA-PBE was carried out for a geometry-optimized Rb2MgFe2S4 structure.

```
9
Lattice="-2.5487 5.7625 4.5017 2.5487 -5.7625 4.5017 2.5487 5.7625 -4.5017" Properties=species:S:1:pos:R:3 pbc="T T T"
Rb 0.0000 2.3435 0.0000
Rb 0.0000 9.1816 0.0000
Mg 0.0000 0.0000 3.7622
Fe 1.2580 5.7625 1.6181
Fe 1.2907 0.0000 6.1198
S 2.5487 0.0000 4.2285
S 2.5487 4.0233 1.2989
S 0.0000 1.7392 5.8006
S 0.0000 5.7625 3.3186
```

Values from the calculation:
The value obtained for the volume is 264.47 Å³/f.u. The calculation puts the total magnetization at 2.00 μB per formula unit. The final energy comes out at -42.47 eV per cell.



No. 2
A plane-wave DFT calculation with GGA-PBE was carried out for a geometry-optimized Na2Zn5Sn3S12O48 structure.

```
210
Lattice="8.7105 0.0000 0.0000 -0.0015 15.0806 0.0000 -0.0227 -0.0131 22.7278" Properties=species:S:1:pos:R:3 pbc="T T T"
Na 0.0000 0.0000 0.0000
Na -0.0086 0.0289 11.2975
Na 0.0054 5.0001 15.0957
Na 4.3602 12.5852 3.8208
Na 4.3596 7.5370 11.2906
Na 4.3756 7.5799 0.1124
Zn -0.0014 15.0715 3.4530
Zn -0.0091 0.0388 14.7570
Zn -0.0115 4.9496 18.5299
Zn -0.0020 5.0272 11.7046
Zn -0.0063 10.0457 10.7889
Zn 0.0151 15.0731 7.9743
Zn 0.0041 0.0294 19.3434
Zn 4.3446 7.5776 7.9842
Zn 4.3571 12.5853 7.1725
Zn 4.3623 2.5510 10.8049
Zn 4.3531 7.5284 14.6682
Zn 4.3727 7.5812 3.4669
Zn 4.3785 12.6144 0.4398
Zn 4.3731 2.4525 22.2514
Zn 8.6593 10.1275 22.2878
Sn 8.7065 5.0312 0.4500
Sn 0.0028 5.0391 7.1829
Sn 0.0065 10.0904 4.2524
Sn 0.0108 10.0937 15.5289
Sn 4.3313 2.4957 15.5457
Sn 4.3380 7.5346 19.3272
Sn 4.3587 2.5116 4.2553
Sn 4.3541 12.5902 11.7235
Sn 4.3525 12.6425 18.5431
S 1.2562 2.2169 17.0254
S 1.2733 2.8111 9.4981
S 1.2643 12.8911 17.0410
S 1.2902 7.8809 1.8420
S 1.2847 12.2903 1.8595
S 1.2913 7.2515 9.5008
S 1.7851 12.5781 9.4433
S 1.7869 7.5395 16.9978
S 1.8273 2.5127 1.8507
S 2.5363 15.0716 5.6633
S 2.5387 5.0112 20.8154
S 2.5556 10.0629 13.2058
S 3.0454 14.7976 20.8770
S 3.0655 0.3088 13.2038
S 3.0560 10.3716 20.8401
S 3.0733 4.7392 13.2250
S 3.0842 5.3683 5.6750
S 3.1086 9.7641 5.6633
S 5.6027 4.7416 1.8554
S 5.6146 9.7657 17.0128
S 5.6357 10.3587 9.4455
S 5.6364 5.3419 17.0005
S 5.6410 14.8105 9.4408
S 5.6562 0.3258 1.8698
S 6.1474 5.0569 9.4984
S 6.1619 10.0567 1.8649
S 6.1748 0.0164 17.0392
S 6.8974 7.5437 5.6831
S 6.9054 2.5216 13.2325
S 6.9036 12.5799 20.8602
S 7.4116 2.8224 20.8150
S 7.4197 12.9140 5.6729
S 7.4298 7.8564 13.2329
S 7.4344 12.2849 13.2102
S 7.4626 2.2181 5.6817
S 7.4513 7.2528 20.8017
O 0.6282 1.4930 9.3138
O 0.6293 6.5151 1.7237
O 0.6304 3.4265 10.6730
O 0.6486 8.4261 3.0854
O 0.6507 13.6164 2.0259
O 0.6487 8.5566 9.6231
O 0.6602 6.6738 8.2304
O 0.6547 11.5030 16.8893
O 0.6812 11.6701 0.6750
O 0.6593 13.4409 18.2532
O 0.6764 1.6319 15.8055
O 0.6791 3.5811 17.1520
O 0.9356 6.3596 17.1935
O 0.9526 1.3432 2.0240
O 0.9519 8.7859 16.8863
O 0.9615 13.8039 9.3548
O 0.9850 3.7729 1.7461
O 0.9887 11.3794 9.6663
O 1.0516 8.6846 0.6469
O 1.0768 6.3934 10.6775
O 1.0788 1.4067 18.2369
O 1.0888 3.6552 8.2309
O 1.0915 11.4377 3.1122
O 1.0835 13.6748 15.8214
O 1.5971 5.1892 5.8279
O 1.5928 9.8730 5.5107
O 1.5826 14.8955 20.6852
O 1.6012 4.8610 13.1541
O 1.6090 0.1566 13.3979
O 1.6223 10.1955 20.9646
O 1.7012 9.8481 12.0547
O 1.7220 5.3389 22.0513
O 1.7443 0.2567 6.8642
O 1.7281 4.8632 19.6111
O 1.7567 14.8868 4.4240
O 1.7720 10.3363 14.4913
O 2.5924 7.8263 18.2631
O 2.6014 12.8677 10.7353
O 2.6279 2.8018 3.0946
O 2.6471 2.3322 0.6580
O 2.6400 7.3380 15.8328
O 2.6454 12.3643 8.2830
O 2.7233 2.7161 9.6292
O 2.7448 7.6988 2.0141
O 2.7607 12.3924 1.7643
O 2.7566 7.3596 9.3218
O 2.7575 12.6993 17.2024
O 2.7694 2.3507 16.8798
O 3.2640 3.9151 14.5186
O 3.2683 6.1488 4.4442
O 3.2775 8.9384 6.8613
O 3.2708 13.9091 22.0242
O 3.2894 11.1484 19.5642
O 3.3100 1.1516 12.0471
O 3.4002 1.2527 5.5266
O 3.3919 3.8621 21.0185
O 3.3947 6.2931 20.7187
O 3.3993 11.2986 13.1049
O 3.4049 8.8732 13.4062
O 3.4317 13.9021 5.7861
O 3.6765 9.1821 4.4282
O 3.6780 11.1207 5.7894
O 3.6764 14.2300 19.5924
O 3.6977 3.9919 5.5120
O 3.6964 5.9216 6.8788
O 3.6887 1.0226 20.9904
O 3.6944 4.1096 12.0700
O 3.7021 0.8445 14.4791
O 3.7125 6.0651 13.4048
O 3.7197 14.0372 13.1040
O 3.7278 10.9342 22.0075
O 3.7382 8.9901 20.6768
O 4.9743 10.9212 10.7351
O 4.9840 4.0040 16.8933
O 4.9898 9.0310 9.3551
O 5.0086 0.9183 3.1253
O 4.9989 1.0165 9.6651
O 4.9863 5.8987 18.2692
O 5.0040 14.0786 1.7859
O 4.9978 9.1657 15.8530
O 4.9960 11.1034 17.2315
O 5.0290 4.1299 0.6638
O 5.0247 6.0874 2.0294
O 5.0221 14.1697 8.2824
O 5.2789 1.2206 16.8909
O 5.2772 13.8778 17.1749
O 5.3246 6.2731 9.3157
O 5.3238 8.8428 2.0278
O 5.3317 11.2810 1.7718
O 5.3407 3.8463 9.6210
O 5.3949 6.1938 15.8424
O 5.3963 11.2089 8.2833
O 5.4214 1.1620 0.6919
O 5.4483 3.9090 3.1009
O 5.4568 8.9352 18.2754
O 5.4881 13.9504 10.7302
O 5.9129 7.3576 20.7021
O 5.9402 12.3913 13.1057
O 5.9644 2.3936 5.5267
O 5.9580 12.7279 5.7950
O 5.9666 7.7565 13.4222
O 5.9742 2.7359 21.0261
O 6.0347 12.8174 22.0195
O 6.0479 2.3053 12.0758
O 6.0785 12.3044 19.5802
O 6.0882 2.7787 14.5278
O 6.1072 7.7892 6.8860
O 6.1276 7.3027 4.4539
O 6.9479 0.2424 18.2609
O 6.9509 14.8480 15.8259
O 6.9673 4.7987 8.2297
O 6.9895 10.3010 3.1231
O 6.9990 9.8322 0.6816
O 6.9982 5.3029 10.6763
O 7.0732 10.2653 9.6641
O 7.0893 5.2144 17.1888
O 7.1125 4.8613 1.7496
O 7.0990 9.9039 16.8945
O 7.1193 0.2142 2.0409
O 7.1129 14.9119 9.3453
O 7.5729 6.3936 22.0470
O 7.5762 11.4553 14.4943
O 7.6330 1.4143 6.8868
O 7.6401 13.6913 4.4367
O 7.6468 3.6737 19.6447
O 7.6698 8.7146 12.0833
O 7.7162 11.3686 20.9715
O 7.7327 1.3050 13.4142
O 7.7202 13.7970 20.6670
O 7.7385 3.7430 13.1635
O 7.7833 8.7544 5.5175
O 7.7910 6.3395 5.8314
O 8.0031 6.6211 19.6069
O 8.0213 8.5681 21.0084
O 8.0455 1.6706 4.4521
O 8.0539 3.5977 5.8276
O 8.0478 11.6445 12.0606
O 8.0496 13.4738 6.8701
O 8.0403 13.6120 13.4154
O 8.0612 8.4357 14.5377
O 8.0666 1.5019 20.7165
O 8.0674 6.5276 13.1665
O 8.0729 11.5389 5.5341
O 8.0955 3.4114 22.0752
```

Values from the calculation:
The value obtained for the volume is 995.17 Å³/f.u. The calculation puts the total magnetization at 0.00 μB per formula unit. The final energy comes out at -1221.23 eV per cell.



No. 3
A plane-wave DFT calculation with GGA-PBE was carried out for a geometry-optimized PrErTl2 structure.

```
4
Lattice="0.0000 3.8603 3.8603 3.8603 0.0000 3.8603 3.8603 3.8603 0.0000" Properties=species:S:1:pos:R:3 pbc="T T T"
Pr 0.0000 0.0000 0.0000
Er 3.8603 3.8603 3.8603
Tl 1.9302 1.9302 1.9302
Tl 5.7905 5.7905 5.7905
```

Values from the calculation:
The value obtained for the volume is 115.05 Å³/f.u. The final energy comes out at -15.47 eV per cell.



No. 4
A plane-wave DFT calculation with GGA-PBE was carried out for a geometry-optimized Na7Cu12S10 structure.

```
58
Lattice="16.1622 0.0000 0.0000 0.0000 3.7872 0.0000 -0.1059 0.0000 16.2285" Properties=species:S:1:pos:R:3 pbc="T T T"
Na 0.0000 0.0000 0.0000
Na 1.6389 1.8936 11.2948
Na 2.8901 1.8936 14.5381
Na 3.5032 0.0000 6.5975
Na 4.7432 0.0000 9.8443
Na 4.8783 1.8936 1.3802
Na 6.1268 1.8936 4.7208
Na 8.0811 0.0000 0.0000
Na 9.9295 1.8936 11.5077
Na 11.1780 1.8936 14.8483
Na 11.3130 0.0000 6.3842
Na 12.5530 0.0000 9.6310
Na 13.1662 1.8936 1.6904
Na 14.4173 1.8936 4.9337
Cu 0.0977 0.0000 6.8110
Cu 0.3664 1.8936 2.4812
Cu 0.8233 0.0000 4.3347
Cu 1.3688 1.8936 8.0922
Cu 2.4225 0.0000 2.1795
Cu 2.8239 1.8936 4.0240
Cu 4.9704 0.0000 13.0767
Cu 6.1841 1.8936 14.4842
Cu 6.5935 1.8936 11.7199
Cu 6.8311 0.0000 7.2882
Cu 7.2730 1.8936 9.1814
Cu 7.7806 0.0000 13.0374
Cu 8.2757 0.0000 3.1911
Cu 8.7833 1.8936 7.0471
Cu 9.2251 0.0000 8.9403
Cu 9.4628 1.8936 4.5087
Cu 9.8722 1.8936 1.7443
Cu 11.0859 0.0000 3.1518
Cu 13.2324 1.8936 12.2046
Cu 13.6338 0.0000 14.0490
Cu 14.6874 1.8936 8.1363
Cu 15.2329 0.0000 11.8938
Cu 15.6898 1.8936 13.7473
Cu 15.9586 0.0000 9.4175
S 0.8207 0.0000 13.3815
S 1.2204 1.8936 5.7475
S 2.0384 1.8936 0.9431
S 2.0464 0.0000 9.1207
S 4.1265 0.0000 3.7721
S 4.3424 1.8936 11.9638
S 5.1612 0.0000 15.3646
S 5.5522 1.8936 7.6514
S 7.5936 1.8936 2.2003
S 7.6524 0.0000 10.6427
S 8.4038 0.0000 5.5858
S 8.4627 1.8936 14.0282
S 10.5041 1.8936 8.5771
S 10.8951 0.0000 0.8639
S 11.7138 1.8936 4.2647
S 11.9298 0.0000 12.4565
S 14.0099 0.0000 7.1078
S 14.0179 1.8936 15.2854
S 14.8359 1.8936 10.4810
S 15.2355 0.0000 2.8470
```

Values from the calculation:
The value obtained for the volume is 496.66 Å³/f.u. The calculation puts the total magnetization at 0.00 μB per formula unit. The final energy comes out at -231.66 eV per cell.



No. 5
A plane-wave DFT calculation with GGA-PBE was carried out for a geometry-optimized ThCo structure.

```
4
Lattice="1.8628 -5.5930 0.0000 1.8628 5.5930 0.0000 0.0000 0.0000 3.9846" Properties=species:S:1:pos:R:3 pbc="T T T"
Th 1.8628 4.1006 2.9885
Th 1.8628 -4.1006 0.9962
Co 1.8628 1.0343 2.9885
Co 1.8628 -1.0343 0.9962
```

Values from the calculation:
The value obtained for the volume is 41.51 Å³/f.u. The final energy comes out at -30.47 eV per cell.



No. 6
A plane-wave DFT calculation with GGA-PBE was carried out for a geometry-optimized ZrCrFe structure.

```
3
Lattice="0.0000 2.9276 2.9276 2.9276 0.0000 2.9276 2.9276 2.9276 0.0000" Properties=species:S:1:pos:R:3 pbc="T T T"
Zr 0.0000 0.0000 0.0000
Cr 4.3914 4.3914 4.3914
Fe 2.9276 2.9276 2.9276
```

Values from the calculation:
The value obtained for the volume is 50.18 Å³/f.u. The calculation puts the total magnetization at 0.60 μB per formula unit. The final energy comes out at -24.47 eV per cell.



No. 7
A plane-wave DFT calculation with GGA-PBE was carried out for a geometry-optimized Hf3Mg structure.

```
8
Lattice="6.2843 0.0000 0.0000 -3.1421 5.4423 0.0000 0.0000 0.0000 5.1042" Properties=species:S:1:pos:R:3 pbc="T T T"
Hf 0.0000 1.8262 1.2760
Hf -1.5606 4.5292 1.2760
Hf 1.5815 0.9131 3.8281
Hf 1.5606 4.5292 1.2760
Hf 4.7027 0.9131 3.8281
Hf 3.1421 3.6161 3.8281
Mg 0.0000 3.6282 3.8281
Mg 3.1421 1.8141 1.2760
```

Values from the calculation:
The value obtained for the volume is 87.28 Å³/f.u. The calculation puts the total magnetization at 0.09 μB per formula unit. The final energy comes out at -62.13 eV per cell.



No. 8
A plane-wave DFT calculation with GGA-PBE was carried out for a geometry-optimized Sm2Te5 structure.

```
14
Lattice="2.2075 -22.1300 0.0000 2.2075 22.1300 0.0000 0.0000 0.0000 4.4169" Properties=species:S:1:pos:R:3 pbc="T T T"
Sm 2.2075 17.7772 3.3127
Sm 2.2075 8.5544 3.3127
Sm 2.2075 -8.5544 1.1042
Sm 2.2075 -17.7772 1.1042
Te 2.2075 20.2693 1.1042
Te 2.2075 14.4771 3.3127
Te 2.2075 11.0619 1.1042
Te 2.2075 5.3215 3.3127
Te 2.2075 1.8807 1.1042
Te 2.2075 -1.8807 3.3127
Te 2.2075 -5.3215 1.1042
Te 2.2075 -11.0619 3.3127
Te 2.2075 -14.4771 1.1042
Te 2.2075 -20.2693 3.3127
```

Values from the calculation:
The value obtained for the volume is 215.78 Å³/f.u. The calculation puts the total magnetization at 0.00 μB per formula unit. The final energy comes out at -65.00 eV per cell.



No. 9
A plane-wave DFT calculation with GGA-PBE was carried out for a geometry-optimized Tl3AsS3 structure.

```
56
Lattice="5.8185 0.0000 0.0000 0.0000 12.7049 0.0000 0.0000 0.0000 22.3714" Properties=species:S:1:pos:R:3 pbc="T T T"
Tl 0.2677 0.8558 4.2636
Tl 0.2677 5.4967 15.4493
Tl 0.4571 8.4063 10.6552
Tl 0.4571 10.6511 21.8409
Tl 0.4806 2.7968 18.2878
Tl 0.4806 3.5556 7.1021
Tl 2.4287 9.1493 18.2878
Tl 2.4287 9.9081 7.1021
Tl 2.4522 2.0538 10.6552
Tl 2.4522 4.2986 21.8409
Tl 2.6416 7.2082 4.2636
Tl 2.6416 11.8491 15.4493
Tl 3.1769 0.8558 6.9221
Tl 3.1769 5.4967 18.1078
Tl 3.3663 8.4063 0.5304
Tl 3.3663 10.6511 11.7161
Tl 3.3898 2.7968 15.2693
Tl 3.3898 3.5556 4.0836
Tl 5.3379 9.1493 15.2693
Tl 5.3379 9.9081 4.0836
Tl 5.3614 2.0538 0.5304
Tl 5.3614 4.2986 11.7161
Tl 5.5508 7.2082 6.9221
Tl 5.5508 11.8491 18.1078
As 0.2684 0.6295 13.1335
As 0.2684 5.7230 1.9478
As 2.6408 6.9819 13.1335
As 2.6408 12.0754 1.9478
As 3.1776 0.6295 20.4236
As 3.1776 5.7230 9.2379
As 5.5501 6.9819 20.4236
As 5.5501 12.0754 9.2379
S 0.6689 1.3333 15.2642
S 0.6689 5.0192 4.0785
S 0.6953 7.9519 2.0441
S 0.6953 11.1055 13.2297
S 0.8871 0.6855 20.4658
S 0.8871 5.6670 9.2801
S 2.0221 7.0380 20.4658
S 2.0221 12.0194 9.2801
S 2.2139 1.5994 2.0441
S 2.2139 4.7531 13.2297
S 2.2403 7.6858 15.2642
S 2.2403 11.3716 4.0785
S 3.5782 1.3333 18.2929
S 3.5782 5.0192 7.1072
S 3.6046 7.9519 9.1416
S 3.6046 11.1055 20.3273
S 3.7963 0.6855 13.0912
S 3.7963 5.6670 1.9056
S 4.9314 7.0380 13.0912
S 4.9314 12.0194 1.9056
S 5.1231 1.5994 9.1416
S 5.1231 4.7531 20.3273
S 5.1495 7.6858 18.2929
S 5.1495 11.3716 7.1072
```

Values from the calculation:
The value obtained for the volume is 206.72 Å³/f.u. The final energy comes out at -211.09 eV per cell.



Number 1: DFT formation energy -0.8262 eV per atom. Number 2: DFT formation energy -1.8849 eV per atom. Number 3: DFT formation energy -0.3497 eV per atom. Number 4: DFT formation energy -0.7257 eV per atom. Number 5: DFT formation energy -0.3571 eV per atom. Number 6: DFT formation energy 0.7331 eV per atom. Number 7: DFT formation energy 0.1023 eV per atom. Number 8: DFT formation energy -1.3506 eV per atom. Number 9: DFT formation energy -0.5341 eV per atom.